Entry 1:
Na3FeH10C6O17: optimized geometry, PBE with a Hubbard U.

Cell and atoms, written as POSCAR:
```
Na3FeH10C6O17
1.0
8.616 6.490 -1.603
8.616 -6.490 -1.603
0.060 0.000 -15.123
H O Na C Fe
40 68 12 24 4
Direct
0.400 0.124 0.936
0.247 0.272 0.982
0.272 0.250 0.084
0.124 0.400 0.436
0.382 0.037 0.478
0.753 0.728 0.018
0.409 0.009 0.883
0.272 0.247 0.482
0.618 0.963 0.522
0.189 0.988 0.093
0.729 0.353 0.446
0.600 0.876 0.064
0.009 0.409 0.383
0.353 0.729 0.946
0.037 0.382 0.978
0.728 0.750 0.916
0.963 0.618 0.022
0.012 0.811 0.407
0.722 0.346 0.552
0.964 0.779 0.506
0.728 0.753 0.518
0.036 0.221 0.494
0.221 0.036 0.994
0.011 0.658 0.920
0.278 0.654 0.448
0.991 0.591 0.617
0.591 0.991 0.117
0.250 0.272 0.584
0.346 0.722 0.052
0.811 0.012 0.907
0.876 0.600 0.564
0.658 0.011 0.420
0.271 0.647 0.554
0.342 0.989 0.580
0.988 0.189 0.593
0.654 0.278 0.948
0.989 0.342 0.080
0.647 0.271 0.054
0.779 0.964 0.006
0.750 0.728 0.416
0.163 0.373 0.851
0.965 0.362 0.018
0.680 0.522 0.818
0.942 0.124 0.350
0.708 0.703 0.476
0.197 0.194 0.197
0.035 0.638 0.982
0.851 0.981 0.963
0.638 0.035 0.482
0.071 0.677 0.317
0.721 0.414 0.655
0.124 0.942 0.850
0.416 0.739 0.827
0.841 0.955 0.653
0.081 0.347 0.411
0.565 0.108 0.670
0.586 0.279 0.845
0.711 0.301 0.503
0.291 0.502 0.853
0.703 0.708 0.976
0.435 0.892 0.330
0.320 0.478 0.182
0.058 0.876 0.650
0.627 0.837 0.649
0.297 0.292 0.024
0.837 0.627 0.149
0.278 0.982 0.691
0.653 0.919 0.089
0.955 0.841 0.153
0.279 0.586 0.345
0.114 0.470 0.685
0.502 0.291 0.353
0.722 0.018 0.309
0.709 0.498 0.147
0.919 0.653 0.589
0.373 0.163 0.351
0.498 0.709 0.647
0.806 0.803 0.303
0.194 0.197 0.697
0.108 0.565 0.170
0.149 0.019 0.037
0.018 0.722 0.809
0.982 0.278 0.191
0.892 0.435 0.830
0.530 0.886 0.815
0.981 0.851 0.463
0.886 0.530 0.315
0.699 0.289 0.997
0.677 0.071 0.817
0.323 0.929 0.183
0.929 0.323 0.683
0.289 0.699 0.497
0.261 0.584 0.673
0.019 0.149 0.537
0.584 0.261 0.173
0.876 0.058 0.150
0.301 0.711 0.003
0.478 0.320 0.682
0.292 0.297 0.524
0.414 0.721 0.155
0.045 0.159 0.847
0.470 0.114 0.185
0.522 0.680 0.318
0.159 0.045 0.347
0.362 0.965 0.518
0.739 0.416 0.327
0.347 0.081 0.911
0.803 0.806 0.803
0.748 0.486 0.983
0.499 0.501 0.750
0.227 0.773 0.750
0.486 0.748 0.483
0.072 0.846 0.999
0.846 0.072 0.499
0.773 0.227 0.250
0.252 0.514 0.017
0.514 0.252 0.517
0.154 0.928 0.501
0.928 0.154 0.001
0.501 0.499 0.250
0.795 0.923 0.273
0.491 0.800 0.785
0.211 0.542 0.211
0.789 0.458 0.789
0.457 0.223 0.315
0.188 0.605 0.299
0.205 0.077 0.727
0.458 0.789 0.289
0.605 0.188 0.799
0.077 0.205 0.227
0.777 0.543 0.185
0.542 0.211 0.711
0.119 0.055 0.816
0.509 0.200 0.215
0.923 0.795 0.773
0.812 0.395 0.701
0.945 0.881 0.684
0.881 0.945 0.184
0.223 0.457 0.815
0.395 0.812 0.201
0.055 0.119 0.316
0.200 0.509 0.715
0.543 0.777 0.685
0.800 0.491 0.285
0.674 0.944 0.732
0.326 0.056 0.268
0.056 0.326 0.768
0.944 0.674 0.232
```

As for the crystal system: monoclinic. The calculation puts the magnetization at 5.00 μB/f.u. For the total energy, the calculation gives -0.2274 hartree per atom.

***

Entry 2:
Na2Fe3P2H2C8O18: optimized geometry, PBE with a Hubbard U.

Cell and atoms, written as POSCAR:
```
Na2Fe3P2H2C8O18
1.0
-3.794 1.799 4.079
3.672 -7.302 6.636
11.393 9.217 3.838
O Fe C H P Na
36 6 16 4 4 4
Direct
0.470 0.349 0.448
0.228 0.043 0.762
0.849 0.961 0.590
0.151 0.039 0.410
0.700 0.637 0.742
0.548 0.412 0.611
0.724 0.567 0.074
0.452 0.588 0.389
0.530 0.651 0.552
0.012 0.675 0.939
0.957 0.429 0.760
0.512 0.825 0.439
0.043 0.571 0.240
0.048 0.088 0.111
0.510 0.743 0.226
0.988 0.325 0.061
0.272 0.543 0.738
0.457 0.071 0.260
0.800 0.137 0.758
0.776 0.067 0.426
0.772 0.957 0.238
0.728 0.457 0.262
0.970 0.151 0.948
0.488 0.175 0.561
0.276 0.433 0.926
0.651 0.461 0.910
0.224 0.933 0.574
0.990 0.243 0.274
0.200 0.863 0.242
0.543 0.929 0.740
0.349 0.539 0.090
0.300 0.363 0.258
0.490 0.257 0.774
0.952 0.912 0.889
0.010 0.757 0.726
0.030 0.849 0.052
0.588 0.444 0.757
0.088 0.056 0.257
0.412 0.556 0.243
0.912 0.944 0.743
0.500 0.000 0.500
0.000 0.500 0.000
0.978 0.031 0.453
0.624 0.170 0.052
0.876 0.670 0.448
0.124 0.330 0.552
0.522 0.531 0.047
0.562 0.969 0.246
0.411 0.848 0.237
0.376 0.830 0.948
0.089 0.348 0.263
0.062 0.531 0.746
0.478 0.469 0.953
0.438 0.031 0.754
0.022 0.969 0.547
0.589 0.152 0.763
0.938 0.469 0.254
0.911 0.652 0.737
0.048 0.941 0.070
0.452 0.441 0.430
0.952 0.059 0.930
0.548 0.559 0.570
0.425 0.314 0.547
0.925 0.186 0.047
0.075 0.814 0.953
0.575 0.686 0.453
0.872 0.749 0.175
0.128 0.251 0.825
0.628 0.249 0.325
0.372 0.751 0.675
```

As for the crystal system: monoclinic. The calculation puts the magnetization at 18.00 μB/f.u. For the total energy, the calculation gives -0.2485 hartree per atom.

***

Entry 3:
FeH4C2O6: optimized geometry, PBE with a Hubbard U.

Cell and atoms, written as POSCAR:
```
FeH4C2O6
1.0
4.954 2.830 -3.884
-4.953 8.491 3.886
4.605 -2.829 6.091
O C H Fe
24 8 16 4
Direct
0.264 0.513 0.072
0.715 0.628 0.257
0.794 0.207 0.756
0.215 0.127 0.255
0.206 0.793 0.243
0.348 0.097 0.572
0.149 0.897 0.571
0.435 0.186 0.928
0.294 0.707 0.756
0.765 0.013 0.072
0.848 0.597 0.573
0.065 0.314 0.072
0.352 0.603 0.428
0.785 0.872 0.743
0.285 0.372 0.744
0.735 0.488 0.929
0.236 0.987 0.928
0.935 0.686 0.928
0.565 0.814 0.072
0.648 0.398 0.572
0.850 0.103 0.428
0.152 0.403 0.428
0.652 0.903 0.428
0.706 0.294 0.245
0.183 0.432 0.148
0.766 0.516 0.648
0.683 0.933 0.148
0.733 0.984 0.352
0.817 0.568 0.852
0.317 0.067 0.852
0.233 0.484 0.352
0.267 0.016 0.647
0.085 0.750 0.143
0.914 0.250 0.857
0.338 0.674 0.646
0.162 0.825 0.354
0.770 0.933 0.854
0.661 0.326 0.355
0.415 0.749 0.856
0.838 0.175 0.646
0.739 0.904 0.644
0.239 0.404 0.644
0.761 0.596 0.357
0.231 0.066 0.145
0.730 0.567 0.146
0.260 0.096 0.356
0.586 0.251 0.144
0.269 0.434 0.854
0.959 0.209 0.250
0.459 0.708 0.250
0.042 0.791 0.750
0.541 0.291 0.750
```

As for the crystal system: triclinic. The calculation puts the magnetization at 0.00 μB/f.u. For the total energy, the calculation gives -0.2339 hartree per atom.

***

Entry 4:
FeH2C2O6: optimized geometry, PBE with a Hubbard U.

Cell and atoms, written as POSCAR:
```
FeH2C2O6
1.0
-3.852 -2.802 -5.364
2.557 -7.765 2.220
-7.024 -1.677 5.920
H Fe O C
8 4 24 8
Direct
0.791 0.413 0.271
0.291 0.587 0.229
0.996 0.827 0.133
0.504 0.827 0.633
0.004 0.173 0.867
0.496 0.173 0.367
0.709 0.413 0.771
0.209 0.587 0.729
0.000 0.500 0.000
0.000 0.000 0.500
0.500 0.500 0.500
0.500 0.000 0.000
0.709 0.596 0.610
0.492 0.817 0.904
0.992 0.183 0.596
0.508 0.183 0.096
0.610 0.591 0.306
0.773 0.054 0.933
0.846 0.295 0.001
0.654 0.295 0.501
0.791 0.596 0.110
0.086 0.049 0.319
0.727 0.054 0.433
0.273 0.946 0.567
0.346 0.705 0.499
0.227 0.946 0.067
0.586 0.951 0.181
0.209 0.404 0.890
0.154 0.705 0.999
0.110 0.409 0.194
0.890 0.591 0.806
0.390 0.409 0.694
0.914 0.951 0.681
0.414 0.049 0.819
0.008 0.817 0.404
0.291 0.404 0.390
0.768 0.530 0.730
0.123 0.826 0.066
0.623 0.174 0.434
0.877 0.174 0.934
0.268 0.470 0.770
0.732 0.530 0.230
0.377 0.826 0.566
0.232 0.470 0.270
```

As for the crystal system: monoclinic. The calculation puts the magnetization at 6.00 μB/f.u. For the total energy, the calculation gives -0.2220 hartree per atom.

***

Entry 5:
Fe4H12C15O31: optimized geometry, PBE with a Hubbard U.

Cell and atoms, written as POSCAR:
```
Fe4H12C15O31
1.0
-5.968 5.968 5.968
5.968 -5.968 5.968
5.968 5.968 -5.968
O C H Fe
31 15 12 4
Direct
0.401 0.500 0.901
0.000 0.000 0.000
0.510 0.708 0.616
0.616 0.510 0.708
0.708 0.197 0.091
0.803 0.909 0.292
0.490 0.292 0.384
0.909 0.106 0.616
0.894 0.803 0.510
0.099 0.599 0.500
0.106 0.197 0.490
0.803 0.510 0.894
0.909 0.292 0.803
0.197 0.490 0.106
0.091 0.894 0.384
0.510 0.894 0.803
0.599 0.500 0.099
0.616 0.909 0.106
0.490 0.106 0.197
0.292 0.803 0.909
0.091 0.708 0.197
0.384 0.490 0.292
0.384 0.091 0.894
0.292 0.384 0.490
0.197 0.091 0.708
0.708 0.616 0.510
0.500 0.901 0.401
0.106 0.616 0.909
0.894 0.384 0.091
0.901 0.401 0.500
0.500 0.099 0.599
0.980 0.243 0.737
0.020 0.757 0.263
0.500 0.500 0.000
0.737 0.494 0.757
0.757 0.737 0.494
0.494 0.757 0.737
0.500 0.000 0.500
0.757 0.263 0.020
0.263 0.020 0.757
0.737 0.980 0.243
0.243 0.263 0.506
0.000 0.500 0.500
0.263 0.506 0.243
0.243 0.737 0.980
0.506 0.243 0.263
0.213 0.892 0.679
0.321 0.213 0.534
0.679 0.213 0.892
0.892 0.679 0.213
0.321 0.787 0.108
0.787 0.108 0.321
0.466 0.679 0.787
0.787 0.466 0.679
0.213 0.534 0.321
0.108 0.321 0.787
0.534 0.321 0.213
0.679 0.787 0.466
0.000 0.000 0.500
0.000 0.500 0.000
0.500 0.500 0.500
0.500 0.000 0.000
```

As for the crystal system: cubic. The calculation puts the magnetization at 22.00 μB/f.u. For the total energy, the calculation gives -0.2466 hartree per atom.